Compound: Eu2SO6
Source: the Materials Project
Functional: r²SCAN
Structure: relaxed

Computed properties:
symmetry: C2/c (15)
volume: 12.5 Å³ per atom
formation enthalpy at 0 K: -2531 meV per atom

Lattice parameters (Å, degrees): 7.2517 7.2517 8.1253 106.69 106.69 33.53
Atoms (fractional coordinates):
Eu 0.1544 0.1790 0.0828
Eu 0.1790 0.1544 0.5828
Eu 0.8210 0.8456 0.4172
Eu 0.8456 0.8210 0.9172
S 0.4482 0.5518 0.7500
S 0.5518 0.4482 0.2500
O 0.2336 0.2746 0.3772
O 0.2381 0.7598 0.6023
O 0.2402 0.7619 0.8977
O 0.2631 0.5538 0.2049
O 0.2746 0.2336 0.8772
O 0.4462 0.7369 0.2951
O 0.5538 0.2631 0.7049
O 0.7254 0.7664 0.1228
O 0.7369 0.4462 0.7951
O 0.7598 0.2381 0.1023
O 0.7619 0.2402 0.3977
O 0.7664 0.7254 0.6228


Compound: Nb3Tl2Br9
Source: the Materials Project
Functional: r²SCAN
Structure: relaxed

Computed properties:
symmetry: C2/m (12)
volume: 30.3 Å³ per atom
formation enthalpy at 0 K: -1061 meV per atom

Lattice parameters (Å, degrees): 10.0596 10.0596 10.1938 104.71 104.71 112.39
Atoms (fractional coordinates):
Nb 0.0404 0.2176 0.6377
Nb 0.1055 0.1055 0.3735
Nb 0.2176 0.0404 0.6377
Nb 0.7824 0.9596 0.3623
Nb 0.8945 0.8945 0.6265
Nb 0.9596 0.7824 0.3623
Tl 0.2404 0.5527 0.1630
Tl 0.4473 0.7596 0.8370
Tl 0.5527 0.2404 0.1630
Tl 0.7596 0.4473 0.8370
Br 0.0788 0.8611 0.1771
Br 0.0946 0.5152 0.8255
Br 0.1389 0.9212 0.8229
Br 0.1765 0.3957 0.5135
Br 0.2179 0.7821 0.5000
Br 0.2493 0.2493 0.2064
Br 0.3205 0.3205 0.8381
Br 0.3957 0.1765 0.5135
Br 0.4848 0.9054 0.1745
Br 0.5152 0.0946 0.8255
Br 0.6043 0.8235 0.4865
Br 0.6795 0.6795 0.1619
Br 0.7507 0.7507 0.7936
Br 0.7821 0.2179 0.5000
Br 0.8235 0.6043 0.4865
Br 0.8611 0.0788 0.1771
Br 0.9054 0.4848 0.1745
Br 0.9212 0.1389 0.8229


Compound: PrLuIn2
Source: the Materials Project
Functional: r²SCAN
Structure: relaxed

Computed properties:
symmetry: Fm-3m (225)
volume: 27.2 Å³ per atom
formation enthalpy at 0 K: -548 meV per atom

Lattice parameters (Å, degrees): 5.3568 5.3568 5.3568 60.00 60.00 60.00
Atoms (fractional coordinates):
Pr 0.0000 0.0000 0.0000
Lu 0.5000 0.5000 0.5000
In 0.2500 0.2500 0.2500
In 0.7500 0.7500 0.7500


Compound: Rb2MnI4
Source: the Materials Project
Functional: r²SCAN
Structure: relaxed

Computed properties:
symmetry: P2_1/m (11)
volume: 46.0 Å³ per atom
formation enthalpy at 0 K: -1381 meV per atom

Lattice parameters (Å, degrees): 8.0929 8.2684 10.1610 90.00 108.53 90.00
Atoms (fractional coordinates):
Rb 0.2149 0.2500 0.0509
Rb 0.2686 0.2500 0.5703
Rb 0.7314 0.7500 0.4297
Rb 0.7851 0.7500 0.9491
Mn 0.2189 0.7500 0.7973
Mn 0.7811 0.2500 0.2027
I 0.0029 0.5038 0.2627
I 0.0029 0.9962 0.2627
I 0.3966 0.7500 0.0718
I 0.4148 0.7500 0.6267
I 0.5852 0.2500 0.3733
I 0.6034 0.2500 0.9282
I 0.9971 0.0038 0.7373
I 0.9971 0.4962 0.7373


Compound: Tm2Ni12As7
Source: the Materials Project
Functional: r²SCAN
Structure: relaxed

Computed properties:
symmetry: P-6 (174)
volume: 13.4 Å³ per atom
formation enthalpy at 0 K: -546 meV per atom

Lattice parameters (Å, degrees): 9.2755 9.2755 3.7774 90.00 90.00 120.00
Atoms (fractional coordinates):
Tm 0.0000 0.0000 0.0000
Tm 0.3333 0.6667 0.5000
Ni 0.0436 0.7606 0.5000
Ni 0.1047 0.3925 0.0000
Ni 0.2394 0.2829 0.5000
Ni 0.2878 0.8953 0.0000
Ni 0.3869 0.2056 0.0000
Ni 0.5507 0.1230 0.5000
Ni 0.5722 0.4493 0.5000
Ni 0.6075 0.7122 0.0000
Ni 0.7171 0.9564 0.5000
Ni 0.7944 0.1814 0.0000
Ni 0.8186 0.6131 0.0000
Ni 0.8770 0.4278 0.5000
As 0.0725 0.6221 0.0000
As 0.2586 0.0355 0.5000
As 0.3779 0.4503 0.0000
As 0.5497 0.9275 0.0000
As 0.6667 0.3333 0.0000
As 0.7770 0.7414 0.5000
As 0.9645 0.2230 0.5000


Compound: LiDyGe
Source: the Materials Project
Functional: r²SCAN
Structure: relaxed

Computed properties:
symmetry: P-62m (189)
volume: 20.2 Å³ per atom
formation enthalpy at 0 K: -823 meV per atom

Lattice parameters (Å, degrees): 7.0410 7.0410 4.2283 90.00 90.00 120.00
Atoms (fractional coordinates):
Li 0.0000 0.2335 0.0000
Li 0.2335 0.0000 0.0000
Li 0.7665 0.7665 0.0000
Dy 0.0000 0.5765 0.5000
Dy 0.4235 0.4235 0.5000
Dy 0.5765 0.0000 0.5000
Ge 0.0000 0.0000 0.5000
Ge 0.3333 0.6667 0.0000
Ge 0.6667 0.3333 0.0000


Compound: Rb2Ag4S3
Source: the Materials Project
Functional: r²SCAN
Structure: relaxed

Computed properties:
symmetry: C2/m (12)
volume: 24.3 Å³ per atom
formation enthalpy at 0 K: -591 meV per atom

Lattice parameters (Å, degrees): 9.3068 9.3068 11.8577 107.83 107.83 26.67
Atoms (fractional coordinates):
Rb 0.1694 0.1694 0.3414
Rb 0.3119 0.3119 0.1579
Rb 0.6881 0.6881 0.8421
Rb 0.8306 0.8306 0.6586
Ag 0.0835 0.0835 0.5832
Ag 0.0875 0.0875 0.0087
Ag 0.4804 0.4804 0.8689
Ag 0.4874 0.4874 0.6267
Ag 0.5126 0.5126 0.3733
Ag 0.5196 0.5196 0.1311
Ag 0.9125 0.9125 0.9913
Ag 0.9165 0.9165 0.4168
S 0.0322 0.0322 0.7754
S 0.3463 0.3463 0.8925
S 0.3621 0.3621 0.4588
S 0.6379 0.6379 0.5412
S 0.6537 0.6537 0.1075
S 0.9678 0.9678 0.2246


Compound: LiMg2
Source: the Materials Project
Functional: r²SCAN
Structure: relaxed

Computed properties:
symmetry: C2/m (12)
volume: 20.5 Å³ per atom
formation enthalpy at 0 K: -56 meV per atom

Lattice parameters (Å, degrees): 5.6982 5.6982 3.4649 107.58 107.58 35.28
Atoms (fractional coordinates):
Li 0.0000 0.0000 0.0000
Mg 0.3413 0.3413 0.3411
Mg 0.6587 0.6587 0.6589


Compound: BaTiSe3
Source: the Materials Project
Functional: r²SCAN
Structure: relaxed

Computed properties:
symmetry: P6_3/mmc (194)
volume: 26.5 Å³ per atom
formation enthalpy at 0 K: -1715 meV per atom

Lattice parameters (Å, degrees): 7.1083 7.1083 6.0512 90.00 90.00 120.00
Atoms (fractional coordinates):
Ba 0.3333 0.6667 0.2500
Ba 0.6667 0.3333 0.7500
Ti 0.0000 0.0000 0.0000
Ti 0.0000 0.0000 0.5000
Se 0.1674 0.3348 0.7500
Se 0.1674 0.8326 0.7500
Se 0.3348 0.1674 0.2500
Se 0.6652 0.8326 0.7500
Se 0.8326 0.1674 0.2500
Se 0.8326 0.6652 0.2500


Compound: Sn
Source: the Materials Project
Functional: r²SCAN
Structure: relaxed

Computed properties:
energy above the most stable polymorph in this dataset: 0.237 eV per atom
symmetry: Fm-3m (225)
volume: 27.4 Å³ per atom
formation enthalpy at 0 K: 237 meV per atom

Lattice parameters (Å, degrees): 3.3824 3.3824 3.3824 60.00 60.00 60.00
Atoms (fractional coordinates):
Sn 0.0000 0.0000 0.0000


Compound: CeGaPd2
Source: the Materials Project
Functional: r²SCAN
Structure: relaxed

Computed properties:
symmetry: Pnma (62)
volume: 19.3 Å³ per atom
formation enthalpy at 0 K: -859 meV per atom

Lattice parameters (Å, degrees): 7.6359 7.0161 5.7726 90.00 90.00 90.00
Atoms (fractional coordinates):
Ce 0.0380 0.2500 0.1539
Ce 0.4620 0.7500 0.6539
Ce 0.5380 0.2500 0.3461
Ce 0.9620 0.7500 0.8461
Ga 0.1187 0.7500 0.3440
Ga 0.3813 0.2500 0.8440
Ga 0.6187 0.7500 0.1560
Ga 0.8813 0.2500 0.6560
Pd 0.1771 0.0519 0.5869
Pd 0.1771 0.4481 0.5869
Pd 0.3229 0.5519 0.0869
Pd 0.3229 0.9481 0.0869
Pd 0.6771 0.0519 0.9131
Pd 0.6771 0.4481 0.9131
Pd 0.8229 0.5519 0.4131
Pd 0.8229 0.9481 0.4131


Compound: Zr6NCl15
Source: the Materials Project
Functional: r²SCAN
Structure: relaxed

Computed properties:
symmetry: Ia-3d (230)
volume: 28.0 Å³ per atom
formation enthalpy at 0 K: -2044 meV per atom

Lattice parameters (Å, degrees): 18.5704 18.5704 18.5704 109.47 109.47 109.47
Atoms (fractional coordinates):
Zr 0.0190 0.0453 0.4044
Zr 0.0190 0.4737 0.6146
Zr 0.0263 0.0453 0.1410
Zr 0.0263 0.4810 0.8854
Zr 0.0453 0.1410 0.0263
Zr 0.0453 0.4044 0.0190
Zr 0.0956 0.1410 0.6146
Zr 0.0956 0.4547 0.4810
Zr 0.1146 0.6410 0.5956
Zr 0.1146 0.9737 0.5190
Zr 0.1410 0.0263 0.0453
Zr 0.1410 0.6146 0.0956
Zr 0.3590 0.4044 0.8854
Zr 0.3590 0.4547 0.4737
Zr 0.3854 0.9044 0.8590
Zr 0.3854 0.9810 0.5263
Zr 0.4044 0.0190 0.0453
Zr 0.4044 0.8854 0.3590
Zr 0.4547 0.4737 0.3590
Zr 0.4547 0.4810 0.0956
Zr 0.4737 0.3590 0.4547
Zr 0.4737 0.6146 0.0190
Zr 0.4810 0.0956 0.4547
Zr 0.4810 0.8854 0.0263
Zr 0.5190 0.1146 0.9737
Zr 0.5190 0.9044 0.5453
Zr 0.5263 0.3854 0.9810
Zr 0.5263 0.6410 0.5453
Zr 0.5453 0.5190 0.9044
Zr 0.5453 0.5263 0.6410
Zr 0.5956 0.1146 0.6410
Zr 0.5956 0.9810 0.9547
Zr 0.6146 0.0190 0.4737
Zr 0.6146 0.0956 0.1410
Zr 0.6410 0.5453 0.5263
Zr 0.6410 0.5956 0.1146
Zr 0.8590 0.3854 0.9044
Zr 0.8590 0.9737 0.9547
Zr 0.8854 0.0263 0.4810
Zr 0.8854 0.3590 0.4044
Zr 0.9044 0.5453 0.5190
Zr 0.9044 0.8590 0.3854
Zr 0.9547 0.5956 0.9810
Zr 0.9547 0.8590 0.9737
Zr 0.9737 0.5190 0.1146
Zr 0.9737 0.9547 0.8590
Zr 0.9810 0.5263 0.3854
Zr 0.9810 0.9547 0.5956
N 0.0000 0.0000 0.0000
N 0.0000 0.0000 0.5000
N 0.0000 0.5000 0.0000
N 0.0000 0.5000 0.5000
N 0.5000 0.0000 0.0000
N 0.5000 0.0000 0.5000
N 0.5000 0.5000 0.0000
N 0.5000 0.5000 0.5000
Cl 0.0152 0.1039 0.8724
Cl 0.0152 0.4112 0.1428
Cl 0.0212 0.7054 0.6264
Cl 0.0212 0.8158 0.3948
Cl 0.0520 0.1039 0.3020
Cl 0.0520 0.4480 0.7500
Cl 0.0791 0.2054 0.1842
Cl 0.0791 0.3736 0.8948
Cl 0.0888 0.1039 0.7315
Cl 0.0888 0.4848 0.3572
Cl 0.1039 0.3020 0.0520
Cl 0.1039 0.7315 0.0888
Cl 0.1039 0.8724 0.0152
Cl 0.1052 0.6842 0.4788
Cl 0.1052 0.9209 0.6264
Cl 0.1264 0.2054 0.5212
Cl 0.1264 0.4209 0.6052
Cl 0.1276 0.6428 0.2315
Cl 0.1276 0.9848 0.8961
Cl 0.1428 0.0152 0.4112
Cl 0.1428 0.6276 0.7315
Cl 0.1842 0.0791 0.2054
Cl 0.1842 0.6052 0.9788
Cl 0.1980 0.3020 0.7500
Cl 0.1980 0.3961 0.4480
Cl 0.2054 0.1842 0.0791
Cl 0.2054 0.5212 0.1264
Cl 0.2315 0.1276 0.6428
Cl 0.2315 0.6039 0.5888
Cl 0.2500 0.8020 0.6980
Cl 0.2500 0.9480 0.5520
Cl 0.2685 0.8572 0.3724
Cl 0.2685 0.9112 0.8961
Cl 0.2946 0.3736 0.9788
Cl 0.2946 0.4209 0.3158
Cl 0.3020 0.0520 0.1039
Cl 0.3020 0.7500 0.1980
Cl 0.3158 0.2946 0.4209
Cl 0.3158 0.5212 0.8948
Cl 0.3572 0.0888 0.4848
Cl 0.3572 0.7685 0.8724
Cl 0.3724 0.2685 0.8572
Cl 0.3724 0.6039 0.5152
Cl 0.3736 0.8948 0.0791
Cl 0.3736 0.9788 0.2946
Cl 0.3948 0.0212 0.8158
Cl 0.3948 0.8736 0.5791
Cl 0.3961 0.4112 0.7685
Cl 0.3961 0.4480 0.1980
Cl 0.3961 0.4848 0.6276
Cl 0.4112 0.1428 0.0152
Cl 0.4112 0.7685 0.3961
Cl 0.4209 0.3158 0.2946
Cl 0.4209 0.6052 0.1264
Cl 0.4480 0.1980 0.3961
Cl 0.4480 0.7500 0.0520
Cl 0.4788 0.1052 0.6842
Cl 0.4788 0.8736 0.7946
Cl 0.4848 0.3572 0.0888
Cl 0.4848 0.6276 0.3961
Cl 0.5152 0.3724 0.6039
Cl 0.5152 0.6428 0.9112
Cl 0.5212 0.1264 0.2054
Cl 0.5212 0.8948 0.3158
Cl 0.5520 0.2500 0.9480
Cl 0.5520 0.8020 0.6039
Cl 0.5791 0.3948 0.8736
Cl 0.5791 0.6842 0.7054
Cl 0.5888 0.2315 0.6039
Cl 0.5888 0.8572 0.9848
Cl 0.6039 0.5152 0.3724
Cl 0.6039 0.5520 0.8020
Cl 0.6039 0.5888 0.2315
Cl 0.6052 0.1264 0.4209
Cl 0.6052 0.9788 0.1842
Cl 0.6264 0.0212 0.7054
Cl 0.6264 0.1052 0.9209
Cl 0.6276 0.3961 0.4848
Cl 0.6276 0.7315 0.1428
Cl 0.6428 0.2315 0.1276
Cl 0.6428 0.9112 0.5152
Cl 0.6842 0.4788 0.1052
Cl 0.6842 0.7054 0.5791
Cl 0.6980 0.2500 0.8020
Cl 0.6980 0.9480 0.8961
Cl 0.7054 0.5791 0.6842
Cl 0.7054 0.6264 0.0212
Cl 0.7315 0.0888 0.1039
Cl 0.7315 0.1428 0.6276
Cl 0.7500 0.0520 0.4480
Cl 0.7500 0.1980 0.3020
Cl 0.7685 0.3961 0.4112
Cl 0.7685 0.8724 0.3572
Cl 0.7946 0.4788 0.8736
Cl 0.7946 0.8158 0.9209
Cl 0.8020 0.6039 0.5520
Cl 0.8020 0.6980 0.2500
Cl 0.8158 0.3948 0.0212
Cl 0.8158 0.9209 0.7946
Cl 0.8572 0.3724 0.2685
Cl 0.8572 0.9848 0.5888
Cl 0.8724 0.0152 0.1039
Cl 0.8724 0.3572 0.7685
Cl 0.8736 0.5791 0.3948
Cl 0.8736 0.7946 0.4788
Cl 0.8948 0.0791 0.3736
Cl 0.8948 0.3158 0.5212
Cl 0.8961 0.1276 0.9848
Cl 0.8961 0.2685 0.9112
Cl 0.8961 0.6980 0.9480
Cl 0.9112 0.5152 0.6428
Cl 0.9112 0.8961 0.2685
Cl 0.9209 0.6264 0.1052
Cl 0.9209 0.7946 0.8158
Cl 0.9480 0.5520 0.2500
Cl 0.9480 0.8961 0.6980
Cl 0.9788 0.1842 0.6052
Cl 0.9788 0.2946 0.3736
Cl 0.9848 0.5888 0.8572
Cl 0.9848 0.8961 0.1276


- Which value of formation enthalpy at 0 K does entry 3 give?
  -548 meV per atom